## w
Here is Mg14CuNi after structural relaxation from Materials Project. Energies are from PBE-GGA.

Values from the calculation:
The calculated volume comes out at 20.43 Å³/atom. Its crystal system is hexagonal. The space group is P-6m2.

abc: 6.2597 6.2597 9.6325
angles: 90.00 90.00 120.00
Last column: nearest neighbours and their distance in Å.
Sites, in units of the cell vectors:
Mg (0.0000, 0.0000, 0.2485)  12 Mg 3.00-3.13
Mg (0.0000, 0.0000, 0.7515)  12 Mg 3.00-3.13
Mg (0.0176, 0.5088, 0.2516)  1 Ni 2.94, 8 Mg 2.96-3.13, 1 Cu 2.97
Mg (0.0176, 0.5088, 0.7484)  1 Ni 2.94, 8 Mg 2.96-3.13, 1 Cu 2.97
Mg (0.3321, 0.1661, 0.0000)  10 Mg 3.00-3.14, 2 Cu 3.13
Mg (0.3322, 0.1661, 0.5000)  10 Mg 3.02-3.14, 2 Ni 3.13
Mg (0.4912, 0.5088, 0.2516)  1 Ni 2.94, 8 Mg 2.96-3.13, 1 Cu 2.97
Mg (0.4912, 0.5088, 0.7484)  1 Ni 2.94, 8 Mg 2.96-3.13, 1 Cu 2.97
Mg (0.4912, 0.9824, 0.2516)  1 Ni 2.94, 8 Mg 2.96-3.13, 1 Cu 2.97
Mg (0.4912, 0.9824, 0.7484)  1 Ni 2.94, 8 Mg 2.96-3.13, 1 Cu 2.97
Mg (0.8339, 0.1661, 0.0000)  10 Mg 3.00-3.14, 2 Cu 3.13
Mg (0.8339, 0.1661, 0.5000)  10 Mg 3.02-3.14, 2 Ni 3.13
Mg (0.8339, 0.6679, 0.0000)  10 Mg 3.00-3.14, 2 Cu 3.13
Mg (0.8339, 0.6678, 0.5000)  10 Mg 3.02-3.14, 2 Ni 3.13
Cu (0.3333, 0.6667, 0.0000)  12 Mg 2.97-3.13
Ni (0.3333, 0.6667, 0.5000)  12 Mg 2.94-3.13

## x
Here is Mg14CuNi after structural relaxation from Materials Project. Energies are from PBE-GGA.

Values from the calculation:
The calculated volume comes out at 20.79 Å³/atom. Its crystal system is orthorhombic. The space group is Amm2.

abc: 9.6220 6.2826 6.2826
angles: 61.16 90.00 90.00
Last column: nearest neighbours and their distance in Å.
Sites, in units of the cell vectors:
Mg (0.0000, 0.0000, 0.0000)  12 Mg 3.05-3.27
Mg (0.0000, 0.0080, 0.5053)  12 Mg 3.03-3.34
Mg (0.0000, 0.5000, 0.5000)  12 Mg 3.03-3.29
Mg (0.0000, 0.5053, 0.0080)  12 Mg 3.03-3.34
Mg (0.2491, 0.6718, 0.6718)  1 Cu 2.93, 11 Mg 2.96-3.24
Mg (0.2530, 0.1698, 0.1698)  1 Ni 2.88, 9 Mg 2.92-3.20
Mg (0.2871, 0.1775, 0.6842)  1 Ni 2.76, 1 Cu 2.78, 2 Mg 3.02-3.05
Mg (0.2871, 0.6842, 0.1775)  1 Ni 2.76, 1 Cu 2.78, 2 Mg 3.02-3.05
Mg (0.5000, 0.4741, 0.9764)  1 Ni 2.73, 1 Cu 2.76, 6 Mg 2.92-3.02
Mg (0.5000, 0.9764, 0.4741)  1 Ni 2.73, 1 Cu 2.76, 6 Mg 2.92-3.02
Mg (0.7129, 0.1775, 0.6842)  1 Ni 2.76, 1 Cu 2.78, 2 Mg 3.02-3.05
Mg (0.7129, 0.6842, 0.1775)  1 Ni 2.76, 1 Cu 2.78, 2 Mg 3.02-3.05
Mg (0.7470, 0.1698, 0.1698)  1 Ni 2.88, 9 Mg 2.92-3.20
Mg (0.7509, 0.6718, 0.6718)  1 Cu 2.93, 11 Mg 2.96-3.24
Cu (0.5000, 0.5179, 0.5179)  8 Mg 2.76-2.93
Ni (0.5000, 0.0196, 0.0196)  8 Mg 2.73-2.88

Stability ranking, top entry: x; the second entry is 12 meV/atom less favorable.

## w
Here is MgCu2O4 after structural relaxation from Materials Project. Energies are from PBE-GGA.

Values from the calculation:
The calculated volume comes out at 10.46 Å³/atom. Its crystal system is orthorhombic. The space group is Pmmn.

abc: 5.7533 10.0800 5.0485
angles: 90.00 90.00 90.00
Last column: nearest neighbours and their distance in Å.
Sites, in units of the cell vectors:
Mg (0.2500, 0.2500, 0.0157)  6 O 2.12-2.15
Mg (0.2500, 0.7500, 0.3432)  6 O 2.09-2.17
Mg (0.7500, 0.2500, 0.6568)  6 O 2.09-2.17
Mg (0.7500, 0.7500, 0.9843)  6 O 2.12-2.15
Cu (0.0000, 0.0000, 0.5000)  6 O 1.92-2.07
Cu (0.0000, 0.5000, 0.5000)  6 O 1.92-2.07
Cu (0.2500, 0.5170, 0.9848)  6 O 1.96-2.11
Cu (0.2500, 0.9830, 0.9848)  6 O 1.96-2.11
Cu (0.5000, 0.0000, 0.5000)  6 O 1.92-2.07
Cu (0.5000, 0.5000, 0.5000)  6 O 1.92-2.07
Cu (0.7500, 0.0170, 0.0152)  6 O 1.96-2.11
Cu (0.7500, 0.4830, 0.0152)  6 O 1.96-2.11
O (0.0029, 0.1181, 0.8349)  3 Cu 2.00-2.11, 2 Mg 2.15-2.17
O (0.0029, 0.3819, 0.8349)  3 Cu 2.00-2.11, 2 Mg 2.15-2.17
O (0.2500, 0.0956, 0.3017)  3 Cu 1.96-2.00, 1 Mg 2.12
O (0.2500, 0.4044, 0.3017)  3 Cu 1.96-2.00, 1 Mg 2.12
O (0.2500, 0.6053, 0.6397)  3 Cu 1.92-1.96, 1 Mg 2.09
O (0.2500, 0.8947, 0.6397)  3 Cu 1.92-1.96, 1 Mg 2.09
O (0.4971, 0.1181, 0.8349)  3 Cu 2.00-2.11, 2 Mg 2.15-2.17
O (0.4971, 0.3819, 0.8349)  3 Cu 2.00-2.11, 2 Mg 2.15-2.17
O (0.5029, 0.6181, 0.1651)  3 Cu 2.00-2.11, 2 Mg 2.15-2.17
O (0.5029, 0.8819, 0.1651)  3 Cu 2.00-2.11, 2 Mg 2.15-2.17
O (0.7500, 0.1053, 0.3603)  3 Cu 1.92-1.96, 1 Mg 2.09
O (0.7500, 0.3947, 0.3603)  3 Cu 1.92-1.96, 1 Mg 2.09
O (0.7500, 0.5956, 0.6983)  3 Cu 1.96-2.00, 1 Mg 2.12
O (0.7500, 0.9044, 0.6983)  3 Cu 1.96-2.00, 1 Mg 2.12
O (0.9971, 0.6181, 0.1651)  3 Cu 2.00-2.11, 2 Mg 2.15-2.17
O (0.9971, 0.8819, 0.1651)  3 Cu 2.00-2.11, 2 Mg 2.15-2.17

## x
Here is MgCu2O4 after structural relaxation from Materials Project. Energies are from PBE-GGA.

Values from the calculation:
The calculated volume comes out at 9.45 Å³/atom. Its crystal system is orthorhombic. The space group is Cmcm.

abc: 5.0446 5.0446 9.3213
angles: 90.00 90.00 146.09
Last column: nearest neighbours and their distance in Å.
Sites, in units of the cell vectors:
Mg (0.1078, 0.8922, 0.7500)  6 O 2.05-2.22
Mg (0.8922, 0.1078, 0.2500)  6 O 2.05-2.22
Cu (0.3673, 0.6327, 0.5708)  6 O 1.89-2.09
Cu (0.3673, 0.6327, 0.9292)  6 O 1.89-2.09
Cu (0.6327, 0.3673, 0.0708)  6 O 1.89-2.09
Cu (0.6327, 0.3673, 0.4292)  6 O 1.89-2.09
O (0.0000, 0.0000, 0.0000)  4 Cu 2.06
O (0.0000, 0.0000, 0.5000)  4 Cu 2.06
O (0.2801, 0.7199, 0.1141)  3 Cu 1.92-2.09
O (0.2801, 0.7199, 0.3859)  3 Cu 1.92-2.09
O (0.4594, 0.5406, 0.7500)  2 Cu 1.89, 2 Mg 2.05
O (0.5406, 0.4594, 0.2500)  2 Cu 1.89, 2 Mg 2.05
O (0.7199, 0.2801, 0.6141)  3 Cu 1.92-2.09
O (0.7199, 0.2801, 0.8859)  3 Cu 1.92-2.09

Stability ranking, top entry: x; the second entry is 54 meV/atom less favorable.